(1)
The following is a DFT calculation (GGA-PBE) of a geometry-optimized LiTiP4O12 structure.

Cell: 10.5152 10.5152 5.2703 Å, 99.05 99.05 70.21°
Closest atoms and distances in Å follow each position.
Fractional coordinates of all 36 atoms:
Li 0.0655 0.0655 0.1355  2 O 2.16
Li 0.9345 0.9345 0.8645  2 O 2.16
Ti 0.0000 0.5000 0.5000  6 O 2.02-2.08
Ti 0.5000 0.0000 0.5000  6 O 2.02-2.08
P 0.1337 0.7155 0.3274  4 O 1.49-1.63
P 0.1953 0.4369 0.0374  4 O 1.51-1.60
P 0.2845 0.8663 0.6726  4 O 1.49-1.63
P 0.4369 0.1953 0.0374  4 O 1.51-1.60
P 0.5631 0.8047 0.9626  4 O 1.51-1.60
P 0.7155 0.1337 0.3274  4 O 1.49-1.63
P 0.8047 0.5631 0.9626  4 O 1.51-1.60
P 0.8663 0.2845 0.6726  4 O 1.49-1.63
O 0.0571 0.6709 0.4984  1 P 1.52
O 0.0637 0.8367 0.1862  1 P 1.49
O 0.1060 0.4008 0.1919  1 P 1.51
O 0.1633 0.9363 0.8138  1 P 1.49
O 0.1643 0.4174 0.7475  1 P 1.51
O 0.2032 0.5861 0.1235  2 P 1.59-1.63
O 0.2722 0.7278 0.5000  2 P 1.62
O 0.3291 0.9429 0.5016  1 P 1.52
O 0.3510 0.3510 0.1149  2 P 1.60
O 0.4008 0.1060 0.1919  1 P 1.51
O 0.4139 0.7968 0.8765  2 P 1.59-1.63
O 0.4174 0.1643 0.7475  1 P 1.51
O 0.5826 0.8357 0.2525  1 P 1.51
O 0.5861 0.2032 0.1235  2 P 1.59-1.63
O 0.5992 0.8940 0.8081  1 P 1.51
O 0.6490 0.6490 0.8851  2 P 1.60
O 0.6709 0.0571 0.4984  1 P 1.52
O 0.7278 0.2722 0.5000  2 P 1.62
O 0.7968 0.4139 0.8765  2 P 1.59-1.63
O 0.8357 0.5826 0.2525  1 P 1.51
O 0.8367 0.0637 0.1862  1 P 1.49
O 0.8940 0.5992 0.8081  1 P 1.51
O 0.9363 0.1633 0.8138  1 P 1.49
O 0.9429 0.3291 0.5016  1 P 1.52

=====

(2)
The following is a DFT calculation (GGA-PBE) of a geometry-optimized LiTiP4O12 structure.

Cell: 7.3266 8.4412 7.7201 Å, 90.00 94.44 90.00°
Closest atoms and distances in Å follow each position.
Fractional coordinates of all 36 atoms:
Li 0.2480 0.0000 0.1316  2 O 1.86-1.88
Li 0.7520 0.5000 0.8684  2 O 1.86-1.88
Ti 0.2528 0.8088 0.6820  6 O 2.00-2.17
Ti 0.7472 0.3088 0.3180  6 O 2.00-2.17
P 0.1272 0.4354 0.5560  4 O 1.50-1.62
P 0.1443 0.3725 0.1898  4 O 1.48-1.62
P 0.4217 0.5852 0.0333  4 O 1.48-1.63
P 0.4295 0.1889 0.6202  4 O 1.49-1.63
P 0.5705 0.6889 0.3798  4 O 1.49-1.63
P 0.5783 0.0852 0.9667  4 O 1.48-1.63
P 0.8557 0.8725 0.8102  4 O 1.48-1.62
P 0.8728 0.9354 0.4440  4 O 1.50-1.62
O 0.0524 0.8490 0.4646  1 P 1.50
O 0.0616 0.8895 0.8487  1 P 1.52
O 0.1269 0.5896 0.6514  1 P 1.50
O 0.2051 0.4653 0.3695  2 P 1.61-1.62
O 0.2238 0.2111 0.1938  1 P 1.48
O 0.2352 0.4885 0.0562  2 P 1.60-1.61
O 0.2840 0.3267 0.6561  2 P 1.62
O 0.3309 0.0328 0.6102  1 P 1.50
O 0.3828 0.6841 0.8744  1 P 1.49
O 0.4157 0.9799 0.9605  1 P 1.48
O 0.4380 0.7021 0.2012  2 P 1.63
O 0.4570 0.7350 0.5235  1 P 1.49
O 0.5430 0.2350 0.4765  1 P 1.49
O 0.5620 0.2021 0.7988  2 P 1.63
O 0.5843 0.4799 0.0395  1 P 1.48
O 0.6172 0.1841 0.1256  1 P 1.49
O 0.6691 0.5328 0.3898  1 P 1.50
O 0.7160 0.8267 0.3439  2 P 1.62
O 0.7648 0.9885 0.9438  2 P 1.60-1.61
O 0.7762 0.7111 0.8062  1 P 1.48
O 0.7949 0.9653 0.6305  2 P 1.61-1.62
O 0.8731 0.0896 0.3486  1 P 1.50
O 0.9384 0.3895 0.1513  1 P 1.52
O 0.9476 0.3490 0.5354  1 P 1.50

=====

Going by the energies, (1) is most stable and the next is 2.3 kJ/mol of atoms up.

=====

(1)
The following is a DFT calculation (GGA-PBE) of a geometry-optimized Sr2CaTi3O9 structure.

Cell: 12.3969 5.5570 12.3898 Å, 77.12 25.91 76.97°
Closest atoms and distances in Å follow each position.
Fractional coordinates of all 30 atoms:
Sr 0.0000 0.0000 0.0000  12 O 2.64-2.95
Sr 0.1668 0.8333 0.1667  12 O 2.64-2.93
Sr 0.5001 0.5001 0.4999  12 O 2.64-2.93
Sr 0.8333 0.1668 0.8332  12 O 2.64-2.93
Ca 0.3335 0.6667 0.3333  9 O 2.62-2.93
Ca 0.6667 0.3335 0.6665  9 O 2.62-2.93
Ti 0.0835 0.4167 0.0837  6 O 1.97-1.98
Ti 0.2501 0.2501 0.2499  6 O 1.97
Ti 0.4167 0.0835 0.4162  6 O 1.97-1.98
Ti 0.5838 0.9163 0.5833  6 O 1.97-1.98
Ti 0.7501 0.7501 0.7499  6 O 1.97
Ti 0.9163 0.5838 0.9165  6 O 1.97-1.98
O 0.0001 0.0001 0.4999  2 Ti 1.97
O 0.0107 0.4922 0.5078  2 Ti 1.97
O 0.0265 0.4735 0.9735  2 Ti 1.98
O 0.1377 0.3597 0.1957  2 Ti 1.97
O 0.1590 0.3443 0.6557  2 Ti 1.97
O 0.1672 0.8330 0.6656  2 Ti 1.97
O 0.3344 0.6657 0.8328  2 Ti 1.97
O 0.3443 0.1590 0.8410  2 Ti 1.97
O 0.3597 0.1377 0.3069  2 Ti 1.97
O 0.4735 0.0265 0.5265  2 Ti 1.98
O 0.4922 0.0107 0.9893  2 Ti 1.97
O 0.5001 0.5001 0.9999  2 Ti 1.97
O 0.6657 0.3344 0.1670  2 Ti 1.97
O 0.6753 0.8245 0.1755  2 Ti 1.97
O 0.6931 0.8043 0.6403  2 Ti 1.97
O 0.8043 0.6931 0.8623  2 Ti 1.97
O 0.8245 0.6753 0.3247  2 Ti 1.97
O 0.8330 0.1672 0.3342  2 Ti 1.97

=====

(2)
The following is a DFT calculation (GGA-PBE) of a geometry-optimized Sr2CaTi3O9 structure.

Cell: 5.5547 9.5950 13.5989 Å, 89.65 89.83 89.88°
Closest atoms and distances in Å follow each position.
Fractional coordinates of all 60 atoms:
Sr 0.0000 0.0000 0.0000  9 O 2.54-2.81
Sr 0.9999 0.3316 0.3321  9 O 2.52-2.82
Sr 0.0145 0.6682 0.1681  9 O 2.60-2.87
Sr 0.0162 0.3347 0.8348  9 O 2.58-2.88
Sr 0.0166 0.0010 0.5022  9 O 2.58-2.89
Sr 0.5136 0.4987 0.9991  8 O 2.56-2.84
Sr 0.5143 0.8329 0.3314  8 O 2.56-2.87
Sr 0.5156 0.1637 0.6659  7 O 2.55-2.82
Ca 0.0027 0.6658 0.6666  5 O 2.42-2.71
Ca 0.5004 0.1665 0.1664  5 O 2.46-2.68
Ca 0.5005 0.4989 0.4999  5 O 2.48-2.67
Ca 0.5022 0.8322 0.8327  5 O 2.41-2.66
Ti 0.0105 0.0020 0.2506  6 O 1.91-2.05
Ti 0.0103 0.3332 0.0847  6 O 1.91-2.05
Ti 0.0105 0.3371 0.5839  6 O 1.91-2.06
Ti 0.0104 0.6650 0.4200  6 O 1.91-2.06
Ti 0.0118 0.6682 0.9151  6 O 1.91-2.04
Ti 0.0122 0.9971 0.7508  6 O 1.91-2.04
Ti 0.5114 0.8351 0.0830  6 O 1.91-2.06
Ti 0.5116 0.1660 0.9174  6 O 1.91-2.06
Ti 0.5118 0.1675 0.4179  6 O 1.90-2.06
Ti 0.5116 0.5000 0.2520  6 O 1.90-2.06
Ti 0.5123 0.5032 0.7498  6 O 1.90-2.06
Ti 0.5125 0.8314 0.5856  6 O 1.90-2.06
O 0.0044 0.1521 0.1524  2 Ti 1.96
O 0.0055 0.8111 0.8115  2 Ti 1.96
O 0.2348 0.4424 0.6593  2 Ti 1.91-2.06
O 0.2348 0.7307 0.5151  2 Ti 1.91-2.06
O 0.2422 0.4026 0.1751  2 Ti 1.91-2.06
O 0.2423 0.7681 0.9913  2 Ti 1.91-2.06
O 0.2425 0.0647 0.8430  2 Ti 1.91-2.06
O 0.2427 0.0996 0.3265  2 Ti 1.91-2.06
O 0.2594 0.9041 0.1754  2 Ti 1.96-1.99
O 0.2598 0.2651 0.9948  2 Ti 1.96-1.99
O 0.2614 0.2396 0.5101  2 Ti 1.96-1.99
O 0.2614 0.5997 0.3299  2 Ti 1.96-1.99
O 0.2624 0.9353 0.6613  2 Ti 1.94-1.99
O 0.2629 0.5693 0.8440  2 Ti 1.94-1.99
O 0.4993 0.9842 0.4857  2 Ti 1.98-1.99
O 0.5001 0.3177 0.8182  2 Ti 1.98-2.00
O 0.4999 0.6879 0.6884  2 Ti 1.96
O 0.5015 0.0187 0.0191  2 Ti 1.96-1.97
O 0.5008 0.3509 0.3510  2 Ti 1.96-1.98
O 0.5011 0.6532 0.1523  2 Ti 1.98-2.00
O 0.7316 0.4331 0.6496  2 Ti 1.95-2.01
O 0.7320 0.7212 0.5057  2 Ti 1.95-2.01
O 0.7344 0.3916 0.1697  2 Ti 1.97-2.00
O 0.7346 0.0953 0.3179  2 Ti 1.96-2.00
O 0.7355 0.0554 0.8369  2 Ti 1.97-2.01
O 0.7359 0.7637 0.9829  2 Ti 1.97-2.01
O 0.7620 0.2298 0.5016  2 Ti 1.90-2.06
O 0.7623 0.2570 0.9873  2 Ti 1.91-2.05
O 0.7621 0.5914 0.3208  2 Ti 1.90-2.06
O 0.7626 0.8972 0.1677  2 Ti 1.91-2.05
O 0.7652 0.5624 0.8334  2 Ti 1.90-2.04
O 0.7649 0.9241 0.6531  2 Ti 1.90-2.04
O 0.9946 0.5126 0.0124  2 Ti 1.98-1.99
O 0.9962 0.1813 0.6802  2 Ti 1.98-2.01
O 0.9963 0.8455 0.3479  2 Ti 1.99-2.00
O 0.9993 0.4827 0.4832  2 Ti 1.95

=====

Going by the energies, (2) is most stable and the next is 0.5 kJ/mol of atoms up.

=====

(1)
The following is a DFT calculation (GGA-PBE) of a geometry-optimized Rb3LaBr6 structure.

Cell: 8.7799 8.7799 8.7799 Å, 60.00 60.00 60.00°
Closest atoms and distances in Å follow each position.
Fractional coordinates of all 10 atoms:
Rb 0.0000 0.0000 0.0000  6 Br 3.28
Rb 0.2500 0.2500 0.2500  12 Br 4.39
Rb 0.7500 0.7500 0.7500  12 Br 4.39
La 0.5000 0.5000 0.5000  6 Br 2.93
Br 0.2643 0.2643 0.7357  1 La 2.93
Br 0.2643 0.7357 0.2643  1 La 2.93
Br 0.2643 0.7357 0.7357  1 La 2.93
Br 0.7357 0.2643 0.2643  1 La 2.93
Br 0.7357 0.2643 0.7357  1 La 2.93
Br 0.7357 0.7357 0.2643  1 La 2.93

=====

(2)
The following is a DFT calculation (GGA-PBE) of a geometry-optimized Rb3LaBr6 structure.

Cell: 14.5714 8.6008 13.9004 Å, 90.00 108.52 90.00°
Closest atoms and distances in Å follow each position.
Fractional coordinates of all 40 atoms:
Rb 0.0975 0.0355 0.3586  5 Br 3.55-3.84
Rb 0.0975 0.4645 0.8586  5 Br 3.55-3.84
Rb 0.3164 0.5653 0.2661  6 Br 3.35-3.75
Rb 0.3164 0.9347 0.7661  6 Br 3.35-3.75
Rb 0.3192 0.0678 0.1127  7 Br 3.49-3.75
Rb 0.3192 0.4322 0.6127  7 Br 3.49-3.75
Rb 0.6808 0.5678 0.3873  7 Br 3.49-3.75
Rb 0.6808 0.9322 0.8873  7 Br 3.49-3.75
Rb 0.6836 0.0653 0.2339  6 Br 3.35-3.75
Rb 0.6836 0.4347 0.7339  6 Br 3.35-3.75
Rb 0.9025 0.5355 0.1414  5 Br 3.55-3.84
Rb 0.9025 0.9645 0.6414  5 Br 3.55-3.84
La 0.0000 0.0000 0.0000  6 Br 2.92-2.97
La 0.0000 0.5000 0.5000  6 Br 2.92-2.97
La 0.5000 0.0000 0.5000  6 Br 2.93-2.99
La 0.5000 0.5000 0.0000  6 Br 2.93-2.99
Br 0.1030 0.2126 0.5946  1 La 2.97
Br 0.1030 0.2874 0.0946  1 La 2.97
Br 0.1208 0.0004 0.8668  1 La 2.93
Br 0.1208 0.4996 0.3668  1 La 2.93
Br 0.1404 0.6789 0.6586  1 La 2.92
Br 0.1404 0.8211 0.1586  1 La 2.92
Br 0.3421 0.7101 0.0041  1 La 2.94
Br 0.3421 0.7899 0.5041  1 La 2.94
Br 0.3441 0.2138 0.3930  1 La 2.93
Br 0.3441 0.2862 0.8930  1 La 2.93
Br 0.4994 0.1443 0.6952  1 La 2.99
Br 0.4994 0.3557 0.1952  1 La 2.99
Br 0.5006 0.6443 0.8048  1 La 2.99
Br 0.5006 0.8557 0.3048  1 La 2.99
Br 0.6559 0.7138 0.1070  1 La 2.93
Br 0.6559 0.7862 0.6070  1 La 2.93
Br 0.6579 0.2101 0.4959  1 La 2.94
Br 0.6579 0.2899 0.9959  1 La 2.94
Br 0.8596 0.1789 0.8414  1 La 2.92
Br 0.8596 0.3211 0.3414  1 La 2.92
Br 0.8792 0.9996 0.1332  1 La 2.93
Br 0.8792 0.5004 0.6332  1 La 2.93
Br 0.8970 0.7126 0.9054  1 La 2.97
Br 0.8970 0.7874 0.4054  1 La 2.97

=====

Going by the energies, (2) is most stable and the next is 6.9 kJ/mol of atoms up.